Entry 1:
Entry from Materials Project: crystalline Ca6Si6O19 at its relaxed geometry (PBE).

Output
Volume = 14.8 Å³ per atom
Formation energy from the elements = -3256 meV/atom
Energy above the most stable polymorph in this dataset = 0.3 meV/atom
Total moment = 2.0 Bohr magnetons per cell
MP2020-corrected energy = -7.73 eV per atom

Cell: 7.0806 7.4325 8.8882 Å, 78.01 89.99 89.60°
With the nearest neighbours (Å) after each atom.
Space group P-1 (No. 2)
Symmetry-distinct sites (fractional):
Ca1 0.0000 0.0000 0.0000  6 O 2.31-2.42
Ca2 0.0000 0.5000 0.0000  6 O 2.38-2.44
Ca3 0.1616 0.3432 0.6315  5 O 2.33-2.45
Ca4 0.1639 0.8441 0.6310  5 O 2.32-2.45
Si1 0.2648 0.7146 0.2915  4 O 1.62-1.66
Si2 0.2674 0.1364 0.2876  4 O 1.62-1.67
Si3 0.4473 0.5488 0.8187  4 O 1.61-1.64
O1 0.1124 0.7120 0.1554  1 Si 1.62
O2 0.1204 0.2097 0.1482  1 Si 1.62
O3 0.1647 0.1422 0.4516  1 Si 1.64
O4 0.1670 0.6306 0.4572  1 Si 1.63
O5 0.1997 0.0529 0.7904  3 Ca 2.31-2.33
O6 0.2218 0.5549 0.7951  1 Si 1.61
O7 0.3388 0.9230 0.2957  2 Si 1.65
O8 0.4662 0.6058 0.2706  2 Si 1.64-1.66
O9 0.4717 0.2494 0.2682  2 Si 1.64-1.67
O10 0.5000 0.5000 0.0000  2 Si 1.62


Entry 2:
Entry from Materials Project: crystalline AlTe2Cl4 at its relaxed geometry (PBE).

Output
Volume = 36.4 Å³ per atom
Formation energy from the elements = -1359 meV/atom
MP2020-corrected energy = -3.85 eV per atom

Cell: 11.6757 14.2799 12.2230 Å, 90.00 90.00 90.00°
With the nearest neighbours (Å) after each atom.
Space group Pbca (No. 61)
Symmetry-distinct sites (fractional):
Al1 0.1024 0.1452 0.0887  4 Cl 2.14-2.19
Te1 0.0040 0.0683 0.6354  2 Te 2.72
Te2 0.1130 0.0834 0.4397  2 Te 2.72
Cl1 0.0681 0.6732 0.3563  1 Al 2.14
Cl2 0.1162 0.1153 0.9179  1 Al 2.14
Cl3 0.1763 0.0306 0.1845  1 Al 2.19
Cl4 0.2069 0.2311 0.6232  1 Al 2.19